[1]
DFT (GGA-PBE) results for crystalline Na6Y2Al2Si3S3O24 at its relaxed geometry.

Geometry as CIF:
```
data_Na6Y2Al2Si3S3O24
_chemical_formula_sum 'Na18 Y6 Al6 Si9 S9 O72'
_space_group_name_H-M_alt 'P 1'
_space_group_IT_number 1
_space_group_name_Hall 'P 1'
_cell_length_a 8.9930
_cell_length_b 9.1128
_cell_length_c 22.6204
_cell_angle_alpha 88.83
_cell_angle_beta 88.69
_cell_angle_gamma 60.63
loop_
_atom_site_label
_atom_site_type_symbol
_atom_site_fract_x
_atom_site_fract_y
_atom_site_fract_z
Na1 Na 0.0000 0.0000 0.0000
Na2 Na 0.0014 0.2523 0.4846
Na3 Na 0.0142 0.6178 0.7294
Na4 Na 0.0260 0.9326 0.6414
Na5 Na 0.0415 0.2759 0.1688
Na6 Na 0.3184 0.9630 0.0898
Na7 Na 0.3230 0.6090 0.8073
Na8 Na 0.3239 0.3216 0.3138
Na9 Na 0.3331 0.9735 0.5675
Na10 Na 0.3414 0.2666 0.0130
Na11 Na 0.3482 0.6402 0.4931
Na12 Na 0.6652 0.9391 0.1773
Na13 Na 0.6730 0.6447 0.6511
Na14 Na 0.6790 0.2669 0.4027
Na15 Na 0.6918 0.2802 0.9069
Na16 Na 0.9516 0.9701 0.3251
Na17 Na 0.9692 0.3151 0.8226
Na18 Na 0.9927 0.6279 0.2451
Y1 Y 0.0134 0.6145 0.1024
Y2 Y 0.3218 0.9693 0.9231
Y3 Y 0.6751 0.2924 0.7461
Y4 Y 0.6808 0.2952 0.0684
Y5 Y 0.9721 0.6446 0.3879
Y6 Y 0.9861 0.6357 0.8865
Al1 Al 0.0377 0.6145 0.5909
Al2 Al 0.2915 0.9710 0.4118
Al3 Al 0.3010 0.9574 0.7072
Al4 Al 0.3209 0.9850 0.2265
Al5 Al 0.6771 0.2563 0.2620
Al6 Al 0.6873 0.2910 0.5634
Si1 Si 0.0224 0.2550 0.3215
Si2 Si 0.0350 0.9600 0.8180
Si3 Si 0.3703 0.5891 0.6548
Si4 Si 0.3770 0.2844 0.1658
Si5 Si 0.5957 0.9693 0.3243
Si6 Si 0.9749 0.3067 0.6545
Si7 Si 0.9793 0.9907 0.1654
Si8 Si 0.9909 0.9330 0.4924
Si9 Si 0.9936 0.3276 0.9885
S1 S 0.2999 0.3370 0.4936
S2 S 0.3045 0.6206 0.9875
S3 S 0.3365 0.2553 0.8195
S4 S 0.3385 0.6773 0.3254
S5 S 0.6223 0.6703 0.8164
S6 S 0.6478 0.5980 0.1661
S7 S 0.6602 0.9938 0.6537
S8 S 0.6975 0.6187 0.4991
S9 S 0.6970 0.9316 0.9950
O1 O 0.0139 0.4285 0.0437
O2 O 0.0238 0.4328 0.3290
O3 O 0.0289 0.7829 0.8163
O4 O 0.0304 0.7915 0.5466
O5 O 0.1001 0.1374 0.3827
O6 O 0.1148 0.9724 0.8814
O7 O 0.1532 0.1587 0.2666
O8 O 0.1574 0.1272 0.6604
O9 O 0.1651 0.9471 0.7628
O10 O 0.1687 0.1384 0.9927
O11 O 0.1685 0.9675 0.1758
O12 O 0.1739 0.4236 0.8181
O13 O 0.1741 0.6280 0.6448
O14 O 0.1751 0.9455 0.4816
O15 O 0.1783 0.4325 0.5433
O16 O 0.1800 0.6589 0.3276
O17 O 0.1805 0.4422 0.1680
O18 O 0.1894 0.6487 0.0389
O19 O 0.2208 0.6138 0.9323
O20 O 0.2306 0.4365 0.4378
O21 O 0.3049 0.1730 0.4917
O22 O 0.3191 0.7885 0.2751
O23 O 0.3328 0.1526 0.7712
O24 O 0.3347 0.7665 0.9865
O25 O 0.3434 0.7578 0.3830
O26 O 0.3470 0.1741 0.8785
O27 O 0.3570 0.7810 0.6575
O28 O 0.3604 0.1109 0.1676
O29 O 0.4305 0.4984 0.7190
O30 O 0.4658 0.2718 0.1001
O31 O 0.4660 0.4597 0.9924
O32 O 0.4694 0.9863 0.3816
O33 O 0.4698 0.3226 0.5030
O34 O 0.4819 0.2892 0.8177
O35 O 0.4881 0.3031 0.2186
O36 O 0.4883 0.5080 0.3234
O37 O 0.5006 0.7694 0.1715
O38 O 0.5043 0.9748 0.6620
O39 O 0.5120 0.4745 0.6040
O40 O 0.5121 0.9482 0.2643
O41 O 0.5252 0.7646 0.4921
O42 O 0.5250 0.9479 0.9922
O43 O 0.5335 0.7678 0.7633
O44 O 0.5358 0.7568 0.8718
O45 O 0.6192 0.1424 0.3212
O46 O 0.6301 0.5021 0.8194
O47 O 0.6305 0.5340 0.1076
O48 O 0.6364 0.1095 0.6037
O49 O 0.6711 0.4790 0.2143
O50 O 0.6786 0.1034 0.9939
O51 O 0.6826 0.4597 0.5051
O52 O 0.6969 0.0578 0.7086
O53 O 0.7827 0.6426 0.5503
O54 O 0.7837 0.8384 0.0486
O55 O 0.7946 0.8145 0.3256
O56 O 0.8001 0.8466 0.9410
O57 O 0.8020 0.6400 0.8153
O58 O 0.8061 0.5845 0.4451
O59 O 0.8074 0.6136 0.1628
O60 O 0.8104 0.8225 0.6448
O61 O 0.8287 0.2983 0.9899
O62 O 0.8322 0.1245 0.5087
O63 O 0.8322 0.2710 0.3136
O64 O 0.8400 0.1007 0.2168
O65 O 0.8508 0.1333 0.8160
O66 O 0.8653 0.3579 0.7172
O67 O 0.8662 0.2628 0.6068
O68 O 0.9172 0.0964 0.1016
O69 O 0.9578 0.8632 0.4315
O70 O 0.9700 0.8171 0.1617
O71 O 0.9873 0.4769 0.6378
O72 O 0.9902 0.4179 0.9244
```

Calculated values
- Energy relative to the elements: -2719 meV/atom
- Volume: 1615 Å³ per cell
- Magnetization: 0.000 μB/atom
- Final energy: -268.1 eV/f.u.

[2]
DFT (GGA-PBE) results for crystalline LaCeHg2 at its relaxed geometry.

Geometry as CIF:
```
data_LaCeHg2
_chemical_formula_sum 'La4 Ce4 Hg8'
_space_group_name_H-M_alt 'F m -3 m'
_space_group_IT_number 225
_space_group_name_Hall '-F 4 2 3'
_cell_length_a 7.7164
_cell_length_b 7.7164
_cell_length_c 7.7164
_cell_angle_alpha 90.00
_cell_angle_beta 90.00
_cell_angle_gamma 90.00
loop_
_atom_site_label
_atom_site_type_symbol
_atom_site_fract_x
_atom_site_fract_y
_atom_site_fract_z
La1 La 0.0000 0.0000 0.0000
Ce1 Ce 0.0000 0.0000 0.5000
Hg1 Hg 0.2500 0.2500 0.2500
```

Calculated values
- Energy relative to the elements: -382 meV/atom
- Volume: 459 Å³ per cell
- Final energy: -13.0 eV/f.u.

[3]
DFT (GGA-PBE) results for crystalline KMg14C at its relaxed geometry.

Geometry as CIF:
```
data_KMg14C
_chemical_formula_sum 'K2 Mg28 C2'
_space_group_name_H-M_alt 'A m m 2'
_space_group_IT_number 38
_space_group_name_Hall 'A 2 -2'
_cell_length_a 10.2781
_cell_length_b 6.2354
_cell_length_c 11.6594
_cell_angle_alpha 90.00
_cell_angle_beta 90.00
_cell_angle_gamma 90.00
loop_
_atom_site_label
_atom_site_type_symbol
_atom_site_fract_x
_atom_site_fract_y
_atom_site_fract_z
K1 K 0.0000 0.0000 0.0000
Mg1 Mg 0.0000 0.2419 0.2546
Mg2 Mg 0.2210 0.0000 0.6317
Mg3 Mg 0.2500 0.2398 0.3876
Mg4 Mg 0.2686 0.0000 0.1434
Mg5 Mg 0.5000 0.0000 0.4791
Mg6 Mg 0.5000 0.0000 0.9701
Mg7 Mg 0.5000 0.2447 0.7287
C1 C 0.0000 0.0000 0.3899
```

Calculated values
- Energy relative to the elements: 304 meV/atom
- Distance to the lowest polymorph of the same formula: 0.0 meV per atom
- Volume: 747 Å³ per cell
- Magnetization: 0.000 μB/atom
- Final energy: -27.9 eV/f.u.

[4]
DFT (GGA-PBE) results for crystalline Nb3In2Cl9 at its relaxed geometry.

Geometry as CIF:
```
data_Nb3In2Cl9
_chemical_formula_sum 'Nb12 In8 Cl36'
_space_group_name_H-M_alt 'C 1 2/m 1'
_space_group_IT_number 12
_space_group_name_Hall '-C 2y'
_cell_length_a 10.4711
_cell_length_b 16.6048
_cell_length_c 9.7136
_cell_angle_alpha 90.00
_cell_angle_beta 115.73
_cell_angle_gamma 90.00
loop_
_atom_site_label
_atom_site_type_symbol
_atom_site_fract_x
_atom_site_fract_y
_atom_site_fract_z
Nb1 Nb 0.1155 0.0000 0.3702
Nb2 Nb 0.1336 0.0885 0.6418
In1 In 0.1115 0.3391 0.8288
Cl1 Cl 0.0000 0.2093 0.5000
Cl2 Cl 0.0212 0.1054 0.8176
Cl3 Cl 0.1848 0.5000 0.1651
Cl4 Cl 0.1936 0.2986 0.1758
Cl5 Cl 0.2072 0.3951 0.4854
Cl6 Cl 0.2382 0.5000 0.7902
```

Calculated values
- Energy relative to the elements: -1544 meV/atom
- Volume: 1521 Å³ per cell
- Magnetization: 0.000 μB/atom
- Final energy: -68.5 eV/f.u.

[5]
DFT (GGA-PBE) results for crystalline AlGa3N4 at its relaxed geometry.

Geometry as CIF:
```
data_AlGa3N4
_chemical_formula_sum 'Al1 Ga3 N4'
_space_group_name_H-M_alt 'P -4 3 m'
_space_group_IT_number 215
_space_group_name_Hall 'P -4 2 3'
_cell_length_a 4.5070
_cell_length_b 4.5070
_cell_length_c 4.5070
_cell_angle_alpha 90.00
_cell_angle_beta 90.00
_cell_angle_gamma 90.00
loop_
_atom_site_label
_atom_site_type_symbol
_atom_site_fract_x
_atom_site_fract_y
_atom_site_fract_z
Al1 Al 0.0000 0.0000 0.0000
Ga1 Ga 0.0000 0.5000 0.5000
N1 N 0.2444 0.2444 0.2444
```

Calculated values
- Energy relative to the elements: -877 meV/atom
- Distance to the lowest polymorph of the same formula: 6.6 meV per atom
- Volume: 92 Å³ per cell
- Maximum piezoelectric response: 0.24 C/m2
- Final energy: -51.8 eV/f.u.